1.
VASP calculation (PBE+U) on a relaxed structure of NdP2H2W2O6.

Cell: 6.677 7.217 19.198 Å, 90.00 90.00 90.00°
Fractional coordinates of all 52 atoms:
Nd  0.137  0.069  0.243
Nd  0.363  0.931  0.743
Nd  0.863  0.569  0.257
Nd  0.637  0.431  0.757
P  0.071  0.339  0.407
P  0.429  0.661  0.907
P  0.929  0.839  0.093
P  0.571  0.161  0.593
P  0.326  0.578  0.237
P  0.174  0.422  0.737
P  0.674  0.078  0.263
P  0.826  0.922  0.763
H  0.271  0.402  0.400
H  0.229  0.598  0.900
H  0.729  0.902  0.100
H  0.771  0.098  0.600
H  0.628  0.109  0.334
H  0.872  0.891  0.834
H  0.372  0.609  0.166
H  0.128  0.391  0.666
W  0.991  0.406  0.053
W  0.509  0.594  0.553
W  0.009  0.906  0.447
W  0.491  0.094  0.947
W  0.495  0.429  0.048
W  0.005  0.571  0.548
W  0.505  0.929  0.452
W  0.995  0.071  0.952
O  0.065  0.142  0.372
O  0.435  0.858  0.872
O  0.935  0.642  0.128
O  0.565  0.358  0.628
O  0.026  0.324  0.486
O  0.474  0.676  0.986
O  0.974  0.824  0.014
O  0.526  0.176  0.514
O  0.190  0.740  0.262
O  0.310  0.260  0.762
O  0.810  0.240  0.238
O  0.690  0.760  0.738
O  0.435  0.024  0.631
O  0.065  0.976  0.131
O  0.565  0.524  0.869
O  0.935  0.476  0.369
O  0.480  0.057  0.223
O  0.020  0.943  0.723
O  0.520  0.557  0.277
O  0.980  0.443  0.777
O  0.191  0.403  0.239
O  0.309  0.597  0.739
O  0.809  0.903  0.261
O  0.691  0.097  0.761


2.
VASP calculation (PBE+U) on a relaxed structure of Li2VO2F2.

Cell: 5.849 10.165 5.974 Å, 106.60 60.71 90.03°
Fractional coordinates of all 28 atoms:
Li  0.886  0.371  0.228
Li  0.386  0.871  0.228
Li  0.183  0.433  0.633
Li  0.683  0.932  0.634
Li  0.923  0.692  0.634
Li  0.422  0.192  0.635
Li  0.442  0.692  0.635
Li  0.943  0.192  0.635
V  0.940  0.685  0.119
V  0.996  0.001  0.009
V  0.440  0.185  0.119
V  0.497  0.501  0.007
O  0.326  0.558  0.348
O  0.825  0.059  0.350
O  0.302  0.566  0.892
O  0.802  0.066  0.893
O  0.806  0.567  0.892
O  0.306  0.067  0.893
O  0.053  0.817  0.894
O  0.554  0.317  0.892
F  0.577  0.808  0.846
F  0.077  0.309  0.847
F  0.546  0.306  0.370
F  0.046  0.806  0.371
F  0.084  0.306  0.371
F  0.582  0.806  0.372
F  0.812  0.573  0.375
F  0.312  0.073  0.376

Distance to the lowest polymorph of the same formula in meV/atom: 0


3.
VASP calculation (PBE+U) on a relaxed structure of CoP2O7.

Cell: 5.236 5.236 4.561 Å, 83.15 83.15 101.23°
Fractional coordinates of all 10 atoms:
Co  0.062  0.938  0.500
P  0.197  0.391  0.911
P  0.609  0.803  0.089
O  0.480  0.520  0.000
O  0.029  0.246  0.202
O  0.754  0.971  0.798
O  0.082  0.607  0.761
O  0.801  0.732  0.301
O  0.393  0.918  0.239
O  0.268  0.199  0.699

Distance to the lowest polymorph of the same formula in meV/atom: 23


4.
VASP calculation (PBE+U) on a relaxed structure of Li3VB2O6.

Cell: 6.502 8.223 9.527 Å, 64.34 90.00 90.00°
Fractional coordinates of all 48 atoms:
Li  0.255  0.410  0.982
Li  0.952  0.279  0.171
Li  0.755  0.590  0.518
Li  0.722  0.164  0.035
Li  0.548  0.279  0.671
Li  0.222  0.836  0.465
Li  0.778  0.164  0.535
Li  0.452  0.721  0.329
Li  0.278  0.836  0.965
Li  0.245  0.410  0.482
Li  0.048  0.721  0.829
Li  0.745  0.590  0.018
V  0.461  0.183  0.315
V  0.039  0.183  0.815
V  0.961  0.817  0.185
V  0.539  0.817  0.685
B  0.346  0.542  0.689
B  0.846  0.458  0.811
B  0.832  0.933  0.381
B  0.332  0.067  0.119
B  0.668  0.933  0.881
B  0.168  0.067  0.619
B  0.154  0.542  0.189
B  0.654  0.458  0.311
O  0.787  0.626  0.792
O  0.304  0.621  0.788
O  0.464  0.657  0.561
O  0.964  0.343  0.939
O  0.804  0.379  0.712
O  0.695  0.984  0.466
O  0.449  0.221  0.063
O  0.287  0.374  0.708
O  0.857  0.036  0.224
O  0.357  0.964  0.276
O  0.949  0.779  0.437
O  0.195  0.016  0.034
O  0.805  0.984  0.966
O  0.051  0.221  0.563
O  0.643  0.036  0.724
O  0.143  0.964  0.776
O  0.713  0.626  0.292
O  0.551  0.779  0.937
O  0.305  0.016  0.534
O  0.196  0.621  0.288
O  0.036  0.657  0.061
O  0.536  0.343  0.439
O  0.696  0.379  0.212
O  0.213  0.374  0.208

Distance to the lowest polymorph of the same formula in meV/atom: 25


Number 1: DFT formation energy -1.39 eV/atom, MP2020-corrected energy -7.392 eV per atom. Number 2: DFT formation energy -2.84 eV/atom, MP2020-corrected energy -6.640 eV per atom. Number 3: DFT formation energy -2.06 eV/atom, MP2020-corrected energy -7.318 eV per atom. Number 4: DFT formation energy -2.60 eV/atom, MP2020-corrected energy -7.426 eV per atom.